# YRe4Si2

A relaxed structure of YRe4Si2 (PBE-GGA, the Materials Project).

a = 7.413 Å, b = 7.413 Å, c = 4.146 Å
α = 90.00°, β = 90.00°, γ = 90.00°
Element x y z (fractional)
Y 0.000 0.000 0.000
Y 0.500 0.500 0.500
Re 0.094 0.342 0.500
Re 0.158 0.594 0.000
Re 0.342 0.094 0.500
Re 0.406 0.842 0.000
Re 0.594 0.158 0.000
Re 0.658 0.906 0.500
Re 0.842 0.406 0.000
Re 0.906 0.658 0.500
Si 0.209 0.791 0.500
Si 0.291 0.291 0.000
Si 0.709 0.709 0.000
Si 0.791 0.209 0.500

Results
**Space group**: No. 136
**Volume**: 227.8 Å³ per cell
**E**: -140.98 eV per cell



# ZrReSi

A relaxed structure of ZrReSi (PBE-GGA, the Materials Project).

a = 7.013 Å, b = 7.013 Å, c = 3.444 Å
α = 90.00°, β = 90.00°, γ = 120.00°
Element x y z (fractional)
Zr 0.000 0.405 0.000
Zr 0.405 0.000 0.000
Zr 0.595 0.595 0.000
Re 0.000 0.746 0.500
Re 0.254 0.254 0.500
Re 0.746 0.000 0.500
Si 0.000 0.000 0.000
Si 0.333 0.667 0.500
Si 0.667 0.333 0.500

Results
**Space group**: No. 189
**Volume**: 146.7 Å³ per cell
**E**: -86.18 eV per cell



# ZrReSi2

A relaxed structure of ZrReSi2 (PBE-GGA, the Materials Project).

a = 9.334 Å, b = 10.101 Å, c = 8.099 Å
α = 90.00°, β = 90.00°, γ = 90.00°
Element x y z (fractional)
Zr 0.169 0.180 0.000
Zr 0.173 0.454 0.249
Zr 0.173 0.454 0.751
Zr 0.327 0.954 0.249
Zr 0.327 0.954 0.751
Zr 0.331 0.680 0.000
Zr 0.669 0.320 0.000
Zr 0.673 0.046 0.249
Zr 0.673 0.046 0.751
Zr 0.827 0.546 0.249
Zr 0.827 0.546 0.751
Zr 0.831 0.820 0.000
Re 0.000 0.000 0.244
Re 0.000 0.000 0.756
Re 0.086 0.742 0.250
Re 0.086 0.742 0.750
Re 0.414 0.242 0.250
Re 0.414 0.242 0.750
Re 0.500 0.500 0.244
Re 0.500 0.500 0.756
Re 0.586 0.758 0.250
Re 0.586 0.758 0.750
Re 0.914 0.258 0.250
Re 0.914 0.258 0.750
Si 0.028 0.619 0.500
Si 0.034 0.617 0.000
Si 0.125 0.908 0.500
Si 0.132 0.900 0.000
Si 0.167 0.181 0.354
Si 0.167 0.181 0.646
Si 0.333 0.681 0.354
Si 0.333 0.681 0.646
Si 0.368 0.400 0.000
Si 0.375 0.408 0.500
Si 0.466 0.117 0.000
Si 0.472 0.119 0.500
Si 0.528 0.881 0.500
Si 0.534 0.883 0.000
Si 0.625 0.592 0.500
Si 0.632 0.600 0.000
Si 0.667 0.319 0.354
Si 0.667 0.319 0.646
Si 0.833 0.819 0.354
Si 0.833 0.819 0.646
Si 0.868 0.100 0.000
Si 0.875 0.092 0.500
Si 0.966 0.383 0.000
Si 0.972 0.381 0.500

Results
**Space group**: No. 55
**Volume**: 763.5 Å³ per cell
**E**: -413.24 eV per cell



# Ta3Re

A relaxed structure of Ta3Re (PBE-GGA, the Materials Project).

a = 4.602 Å, b = 4.602 Å, c = 4.602 Å
α = 60.00°, β = 60.00°, γ = 60.00°
Element x y z (fractional)
Ta 0.000 0.000 0.000
Ta 0.250 0.250 0.250
Ta 0.750 0.750 0.750
Re 0.500 0.500 0.500

Results
**Space group**: No. 225
**Volume**: 68.9 Å³ per cell
**E**: -48.89 eV per cell